(1)
Crystalline Ba2PIO4 at its relaxed geometry, computed with r2SCAN.

Cell: 9.3099 8.9212 9.4857 Å, 68.27 90.00 90.00°
Closest atoms and distances in Å follow each position.
Fractional positions:
I (0.0794, 0.2438, 0.4972)  5 Ba 3.64-3.99, 3 O 3.86-4.06
O (0.3996, 0.7935, 0.0667)  1 P 1.53
P (0.4433, 0.2382, 0.9617)  4 O 1.53-1.55
Ba (0.8079, 0.0409, 0.8406)  7 O 2.74-2.91
O (0.5827, 0.5774, 0.0958)  1 P 1.55
Ba (0.8289, 0.5478, 0.2499)  5 O 2.65-2.88
O (0.0851, 0.6671, 0.1354)  1 P 1.55
O (0.4173, 0.4226, 0.9042)  1 P 1.55
O (0.5851, 0.8329, 0.8646)  1 P 1.55
O (0.8996, 0.7065, 0.9333)  1 P 1.53
Ba (0.6711, 0.0478, 0.2499)  5 O 2.65-2.88
O (0.6004, 0.2065, 0.9333)  1 P 1.53
Ba (0.3079, 0.4591, 0.1594)  7 O 2.74-2.91
Ba (0.1711, 0.4522, 0.7501)  5 O 2.65-2.88
O (0.4149, 0.1671, 0.1354)  1 P 1.55
O (0.0827, 0.9226, 0.9042)  1 P 1.55
I (0.4206, 0.7438, 0.4972)  5 Ba 3.64-3.99, 3 O 3.86-4.06
I (0.5794, 0.2562, 0.5028)  5 Ba 3.64-3.99, 3 O 3.86-4.06
O (0.9173, 0.0774, 0.0958)  1 P 1.55
Ba (0.1921, 0.9591, 0.1594)  7 O 2.74-2.91
O (0.1004, 0.2935, 0.0667)  1 P 1.53
P (0.5567, 0.7618, 0.0383)  4 O 1.53-1.55
O (0.1664, 0.6664, 0.8826)  1 P 1.54
I (0.9206, 0.7562, 0.5028)  5 Ba 3.64-3.99, 3 O 3.86-4.06
Ba (0.3289, 0.9522, 0.7501)  5 O 2.65-2.88
P (0.0567, 0.7382, 0.9617)  4 O 1.53-1.55
O (0.8336, 0.3336, 0.1174)  1 P 1.54
P (0.9433, 0.2618, 0.0383)  4 O 1.53-1.55
O (0.3336, 0.1664, 0.8826)  1 P 1.54
O (0.6664, 0.8336, 0.1174)  1 P 1.54
O (0.9149, 0.3329, 0.8646)  1 P 1.55
Ba (0.6921, 0.5409, 0.8406)  7 O 2.74-2.91

Output
As for the uncorrected energy: -16.76 eV/atom. The calculation puts the calculated volume at 22.87 Å³ per atom. The formation energy comes out at -2.9568 eV/atom. For the total magnetic moment, the calculation gives 0.00 μB per atom.

(2)
Crystalline HfVSi at its relaxed geometry, computed with r2SCAN.

Cell: 3.6475 3.6475 7.1390 Å, 90.00 90.00 90.00°
Closest atoms and distances in Å follow each position.
Fractional positions:
Si (0.2500, 0.2500, 0.2472)  4 V 2.54, 5 Hf 2.70-2.80
Hf (0.7500, 0.7500, 0.3604)  5 Si 2.70-2.80
V (0.7500, 0.2500, 0.0000)  4 Si 2.54, 4 V 2.58
Si (0.7500, 0.7500, 0.7528)  4 V 2.54, 5 Hf 2.70-2.80
Hf (0.2500, 0.2500, 0.6396)  5 Si 2.70-2.80
V (0.2500, 0.7500, 0.0000)  4 Si 2.54, 4 V 2.58

Output
As for the uncorrected energy: -23.45 eV/atom. The calculation puts the calculated volume at 15.83 Å³ per atom. The formation energy comes out at -0.7784 eV/atom. For the total magnetic moment, the calculation gives 0.00 μB per atom.

(3)
Crystalline CeNi4B at its relaxed geometry, computed with r2SCAN.

Cell: 4.9505 4.9506 6.9780 Å, 90.00 90.00 120.00°
Closest atoms and distances in Å follow each position.
Fractional positions:
Ce (0.0000, 0.0000, 0.0000)  6 Ni 2.86
Ni (0.5000, 0.5000, 0.7090)  2 B 2.04
Ce (0.0000, 0.0000, 0.5000)  6 B 2.86, 12 Ni 2.87
B (0.6667, 0.3333, 0.5000)  6 Ni 2.04
Ni (0.0000, 0.5000, 0.2910)  2 B 2.04
Ni (0.5000, 0.0000, 0.2910)  2 B 2.04
Ni (0.0000, 0.5000, 0.7090)  2 B 2.04
Ni (0.5000, 0.5000, 0.2910)  2 B 2.04
Ni (0.3333, 0.6667, 0.0000)  6 Ni 2.48
B (0.3333, 0.6667, 0.5000)  6 Ni 2.04
Ni (0.6667, 0.3333, 0.0000)  6 Ni 2.48
Ni (0.5000, 0.0000, 0.7090)  2 B 2.04

Output
As for the uncorrected energy: -14.77 eV/atom. The calculation puts the calculated volume at 12.34 Å³ per atom. The formation energy comes out at -0.4172 eV/atom. For the total magnetic moment, the calculation gives 0.00 μB per atom.

(4)
Crystalline TePCl9 at its relaxed geometry, computed with r2SCAN.

Cell: 12.1652 12.1652 12.1649 Å, 118.36 119.46 91.90°
Closest atoms and distances in Å follow each position.
Fractional positions:
Cl (0.3274, 0.8648, 0.3935)  1 Te 2.53
Cl (0.3993, 0.3084, 0.9083)  1 Te 2.53
Cl (0.2379, 0.5611, 0.9455)  1 P 1.95
Cl (0.5667, 0.0892, 0.7502)  1 P 1.94
Cl (0.8531, 0.3654, 0.7185)  1 Te 2.44
Cl (0.7376, 0.2613, 0.1127)  1 P 1.93
Cl (0.0617, 0.1327, 0.6944)  1 Te 2.37
Cl (0.2164, 0.2723, 0.3149)  1 P 1.94
Cl (0.8274, 0.4339, 0.4626)  1 Te 2.53
Cl (0.1610, 0.6834, 0.7501)  1 P 1.94
Cl (0.7164, 0.4015, 0.9441)  1 P 1.94
Cl (0.2766, 0.9288, 0.7054)  2 Te 2.77-2.84
Cl (0.7766, 0.0712, 0.3477)  2 Te 2.77-2.84
Cl (0.7380, 0.7925, 0.6768)  1 P 1.95
Te (0.7539, 0.8499, 0.1038)  4 Cl 2.37-2.54
Cl (0.5287, 0.1352, 0.4626)  1 Te 2.53
Te (0.6763, 0.2762, 0.4525)  4 Cl 2.39-2.53
Cl (0.3843, 0.4388, 0.6768)  1 P 1.95
P (0.7259, 0.2403, 0.9389)  4 Cl 1.93-1.95
Cl (0.8843, 0.2075, 0.9455)  1 P 1.95
Cl (0.5426, 0.5986, 0.3150)  1 P 1.94
Cl (0.6611, 0.9109, 0.4777)  1 P 1.94
P (0.2259, 0.2870, 0.4857)  4 Cl 1.93-1.95
P (0.1986, 0.7130, 0.9389)  4 Cl 1.93-1.95
Cl (0.3531, 0.6346, 0.4877)  1 Te 2.44
Cl (0.7422, 0.6564, 0.8986)  1 Te 2.42
Cl (0.5999, 0.6916, 0.0909)  1 Te 2.54
Cl (0.9854, 0.8291, 0.3144)  2 Te 2.68-2.85
P (0.6987, 0.7598, 0.4857)  4 Cl 1.93-1.95
Cl (0.0999, 0.0090, 0.9083)  1 Te 2.54
Cl (0.5766, 0.4407, 0.5173)  1 Te 2.39
Cl (0.4853, 0.1709, 0.1563)  2 Te 2.68-2.85
Cl (0.0667, 0.3166, 0.4776)  1 P 1.94
Te (0.1763, 0.7238, 0.4001)  4 Cl 2.39-2.53
Cl (0.5616, 0.8673, 0.9290)  1 Te 2.37
Cl (0.8993, 0.9910, 0.0909)  1 Te 2.53
Te (0.2539, 0.1501, 0.9040)  4 Cl 2.37-2.54
Cl (0.0426, 0.7277, 0.9440)  1 P 1.94
Cl (0.2376, 0.1249, 0.4763)  1 P 1.93
Cl (0.0287, 0.5661, 0.3935)  1 Te 2.53
Cl (0.2422, 0.3436, 0.0857)  1 Te 2.42
Cl (0.3513, 0.8750, 0.1126)  1 P 1.93
Cl (0.8514, 0.7387, 0.4763)  1 P 1.93
Cl (0.0766, 0.5593, 0.1359)  1 Te 2.39

Output
As for the uncorrected energy: -8.85 eV/atom. The calculation puts the calculated volume at 29.39 Å³ per atom. The formation energy comes out at -0.6862 eV/atom. For the total magnetic moment, the calculation gives 0.00 μB per atom.

(5)
Crystalline Tb3In5 at its relaxed geometry, computed with r2SCAN.

Cell: 6.3794 6.3794 10.3513 Å, 90.00 90.00 101.48°
Closest atoms and distances in Å follow each position.
Fractional positions:
Tb (0.7970, 0.2030, 0.5000)  10 In 3.19-3.50
Tb (0.6249, 0.6249, 0.2500)  9 In 3.10-3.43
Tb (0.2030, 0.7970, 0.0000)  10 In 3.19-3.50
Tb (0.7970, 0.2030, 0.0000)  10 In 3.19-3.50
In (0.9237, 0.4924, 0.7500)  4 In 3.00-3.31, 3 Tb 3.12-3.19
In (0.0763, 0.5077, 0.2500)  4 In 3.00-3.31, 3 Tb 3.12-3.19
In (0.0087, 0.0087, 0.2500)  5 Tb 3.10-3.28, 6 In 3.13-3.31
In (0.5077, 0.0763, 0.2500)  4 In 3.00-3.31, 3 Tb 3.12-3.19
In (0.3090, 0.3090, 0.0461)  4 In 3.00-3.23, 6 Tb 3.11-3.35
In (0.3090, 0.3090, 0.4539)  4 In 3.00-3.23, 6 Tb 3.11-3.35
Tb (0.2030, 0.7970, 0.5000)  10 In 3.19-3.50
In (0.4924, 0.9237, 0.7500)  4 In 3.00-3.31, 3 Tb 3.12-3.19
In (0.6909, 0.6909, 0.5462)  4 In 3.00-3.23, 6 Tb 3.11-3.35
In (0.9913, 0.9913, 0.7500)  5 Tb 3.10-3.27, 6 In 3.13-3.31
In (0.6909, 0.6909, 0.9538)  4 In 3.00-3.23, 6 Tb 3.11-3.35
Tb (0.3751, 0.3751, 0.7500)  9 In 3.10-3.43

Output
As for the uncorrected energy: -26.44 eV/atom. The calculation puts the calculated volume at 25.80 Å³ per atom. The formation energy comes out at -0.6220 eV/atom. For the total magnetic moment, the calculation gives 0.00 μB per atom.

(6)
Crystalline Ho4C7 at its relaxed geometry, computed with r2SCAN.

Cell: 3.6768 6.4113 13.6271 Å, 90.00 90.00 104.73°
Closest atoms and distances in Å follow each position.
Fractional positions:
C (0.7337, 0.9503, 0.3957)  1 C 1.33
Ho (0.3659, 0.2398, 0.4449)  6 C 2.46-2.66
C (0.6202, 0.4530, 0.1966)  2 C 1.32-1.33
C (0.4662, 0.9231, 0.2155)  1 C 1.32
Ho (0.6341, 0.7602, 0.5551)  6 C 2.46-2.66
C (0.2663, 0.0497, 0.6043)  1 C 1.33
C (0.5338, 0.0769, 0.7845)  1 C 1.32
Ho (0.3659, 0.7398, 0.0551)  6 C 2.46-2.66
Ho (0.9467, 0.8404, 0.8374)  7 C 2.41-2.63
C (0.5338, 0.5769, 0.7155)  1 C 1.32
C (0.0000, 0.0000, 0.0000)  6 Ho 2.43-2.61
Ho (0.6341, 0.2602, 0.9449)  6 C 2.46-2.66
C (0.3798, 0.5470, 0.8034)  2 C 1.32-1.33
Ho (0.0533, 0.1596, 0.1626)  7 C 2.41-2.63
C (0.4662, 0.4231, 0.2845)  1 C 1.32
C (0.6202, 0.9530, 0.3034)  2 C 1.32-1.33
Ho (0.0533, 0.6596, 0.3374)  7 C 2.41-2.63
C (0.7337, 0.4503, 0.1043)  1 C 1.33
C (0.3798, 0.0470, 0.6966)  2 C 1.32-1.33
Ho (0.9467, 0.3404, 0.6626)  7 C 2.41-2.63
C (0.0000, 0.5000, 0.5000)  6 Ho 2.43-2.61
C (0.2663, 0.5497, 0.8957)  1 C 1.33

Output
As for the uncorrected energy: -18.76 eV/atom. The calculation puts the calculated volume at 14.12 Å³ per atom. The formation energy comes out at -0.4721 eV/atom. For the energy above the lowest structure with this stoichiometry, the calculation gives 0.0043 eV per atom. For the total magnetic moment, the calculation gives 0.00 μB per atom.

(7)
Crystalline MoO2 at its relaxed geometry, computed with r2SCAN.

Cell: 4.6388 5.6242 6.3794 Å, 124.54 90.00 90.00°
Closest atoms and distances in Å follow each position.
Fractional positions:
Mo (0.0000, 0.0000, 0.7500)  6 O 2.00-2.05
O (0.6948, 0.6957, 0.5979)  3 Mo 2.00-2.05
Mo (0.5000, 0.5000, 0.7500)  6 O 2.00-2.05
O (0.8052, 0.1958, 0.0979)  3 Mo 2.00-2.05
O (0.1948, 0.8042, 0.4021)  3 Mo 2.00-2.05
O (0.8052, 0.1958, 0.5979)  3 Mo 2.00-2.05
O (0.3052, 0.3043, 0.9021)  3 Mo 2.00-2.05
Mo (0.0000, 0.0000, 0.2500)  6 O 2.00-2.05
O (0.1948, 0.8042, 0.9021)  3 Mo 2.00-2.05
O (0.3052, 0.3043, 0.4021)  3 Mo 2.00-2.05
Mo (0.5000, 0.5000, 0.2500)  6 O 2.00-2.05
O (0.6948, 0.6957, 0.0979)  3 Mo 2.00-2.05

Output
As for the uncorrected energy: -14.71 eV/atom. The calculation puts the calculated volume at 11.42 Å³ per atom. The formation energy comes out at -2.0416 eV/atom. For the total magnetic moment, the calculation gives 0.67 μB per atom.

(8)
Crystalline NaNiO2 at its relaxed geometry, computed with r2SCAN.

Cell: 2.8255 3.0142 5.4054 Å, 76.27 74.85 62.05°
Closest atoms and distances in Å follow each position.
Fractional positions:
O (0.2853, 0.2323, 0.1972)  2 Ni 1.90
Ni (0.0000, 0.0000, 0.0000)  4 O 1.90
O (0.7147, 0.7678, 0.8028)  2 Ni 1.90
Na (0.5000, 0.5000, 0.5000)  6 O 2.30-2.34

Output
As for the uncorrected energy: -8.30 eV/atom. The calculation puts the calculated volume at 9.72 Å³ per atom. The formation energy comes out at -1.4294 eV/atom. For the total magnetic moment, the calculation gives 0.25 μB per atom.

Please write out number 6 again, unchanged.
Crystalline Ho4C7 at its relaxed geometry, computed with r2SCAN.

Cell: 3.6768 6.4113 13.6271 Å, 90.00 90.00 104.73°
Closest atoms and distances in Å follow each position.
Fractional positions:
C (0.7337, 0.9503, 0.3957)  1 C 1.33
Ho (0.3659, 0.2398, 0.4449)  6 C 2.46-2.66
C (0.6202, 0.4530, 0.1966)  2 C 1.32-1.33
C (0.4662, 0.9231, 0.2155)  1 C 1.32
Ho (0.6341, 0.7602, 0.5551)  6 C 2.46-2.66
C (0.2663, 0.0497, 0.6043)  1 C 1.33
C (0.5338, 0.0769, 0.7845)  1 C 1.32
Ho (0.3659, 0.7398, 0.0551)  6 C 2.46-2.66
Ho (0.9467, 0.8404, 0.8374)  7 C 2.41-2.63
C (0.5338, 0.5769, 0.7155)  1 C 1.32
C (0.0000, 0.0000, 0.0000)  6 Ho 2.43-2.61
Ho (0.6341, 0.2602, 0.9449)  6 C 2.46-2.66
C (0.3798, 0.5470, 0.8034)  2 C 1.32-1.33
Ho (0.0533, 0.1596, 0.1626)  7 C 2.41-2.63
C (0.4662, 0.4231, 0.2845)  1 C 1.32
C (0.6202, 0.9530, 0.3034)  2 C 1.32-1.33
Ho (0.0533, 0.6596, 0.3374)  7 C 2.41-2.63
C (0.7337, 0.4503, 0.1043)  1 C 1.33
C (0.3798, 0.0470, 0.6966)  2 C 1.32-1.33
Ho (0.9467, 0.3404, 0.6626)  7 C 2.41-2.63
C (0.0000, 0.5000, 0.5000)  6 Ho 2.43-2.61
C (0.2663, 0.5497, 0.8957)  1 C 1.33

Output
As for the uncorrected energy: -18.76 eV/atom. The calculation puts the calculated volume at 14.12 Å³ per atom. The formation energy comes out at -0.4721 eV/atom. For the energy above the lowest structure with this stoichiometry, the calculation gives 0.0043 eV per atom. For the total magnetic moment, the calculation gives 0.00 μB per atom.